<P>
Compound: BaFe4O7
Source: the Materials Project database
Functional: PBE with a Hubbard U
Structure: optimized geometry

Calculated values
As for the space group: No. 176.

Unit cell a=5.1169 b=5.1169 c=13.9366 alpha=90.00 beta=90.00 gamma=120.00
Closest atoms and distances in Å follow each position.
Positions (direct):
Ba 0.6667 0.3333 0.2500  9 O 2.88-2.95
O 0.0073 0.6448 0.9213  3 Fe 1.90-1.98
O 0.3624 0.0073 0.4213  3 Fe 1.90-1.98
Fe 0.3333 0.6667 0.0032  6 O 1.98
Fe 0.0000 0.0000 0.1126  4 O 1.90-1.91
O 0.3552 0.3624 0.9213  3 Fe 1.90-1.98
O 0.0000 0.0000 0.7500  2 Fe 1.91
O 0.6376 0.9927 0.9213  3 Fe 1.90-1.98
O 0.0073 0.6448 0.5787  3 Fe 1.90-1.98
O 0.3624 0.0073 0.0787  3 Fe 1.90-1.98
O 0.6376 0.9927 0.5787  3 Fe 1.90-1.98
O 0.9927 0.3552 0.0787  3 Fe 1.90-1.98
Fe 0.0000 0.0000 0.3874  4 O 1.90-1.91
Fe 0.3333 0.6667 0.4968  6 O 1.98
Fe 0.0000 0.0000 0.6126  4 O 1.90-1.91
Fe 0.0000 0.0000 0.8874  4 O 1.90-1.91
Fe 0.6667 0.3333 0.5032  6 O 1.98
Fe 0.6667 0.3333 0.9968  6 O 1.98
O 0.6448 0.6376 0.4213  3 Fe 1.90-1.98
O 0.3552 0.3624 0.5787  3 Fe 1.90-1.98
O 0.6448 0.6376 0.0787  3 Fe 1.90-1.98
O 0.0000 0.0000 0.2500  2 Fe 1.91
O 0.9927 0.3552 0.4213  3 Fe 1.90-1.98
Ba 0.3333 0.6667 0.7500  9 O 2.88-2.95

=====

<Q>
Compound: BaFe4O7
Source: the Materials Project database
Functional: PBE with a Hubbard U
Structure: optimized geometry

Calculated values
As for the space group: No. 186.

Unit cell a=6.4889 b=6.4889 c=10.5681 alpha=90.00 beta=90.00 gamma=120.00
Closest atoms and distances in Å follow each position.
Positions (direct):
Fe 0.1704 0.8296 0.6905  4 O 1.87-2.05
Fe 0.8296 0.1704 0.1905  4 O 1.87-2.05
O 0.8462 0.1538 0.0146  2 Fe 1.86-1.87
Fe 0.1704 0.3408 0.6905  4 O 1.87-2.05
Fe 0.6592 0.8296 0.6905  4 O 1.87-2.05
Ba 0.6667 0.3333 0.4916  12 O 3.11-3.37
O 0.9729 0.4865 0.2462  2 Fe 1.87
Ba 0.3333 0.6667 0.9916  12 O 3.11-3.37
O 0.4865 0.9729 0.7462  2 Fe 1.87
O 0.0000 0.0000 0.7591  4 Fe 2.01-2.05
Fe 0.0000 0.0000 0.4493  4 O 1.86-2.01
O 0.1538 0.3077 0.5146  2 Fe 1.86-1.87
O 0.8462 0.6923 0.0146  2 Fe 1.86-1.87
Fe 0.0000 0.0000 0.9493  4 O 1.86-2.01
O 0.0000 0.0000 0.2591  4 Fe 2.01-2.05
O 0.4865 0.5135 0.7462  2 Fe 1.87
Fe 0.3408 0.1704 0.1905  4 O 1.87-2.05
O 0.3077 0.1538 0.0146  2 Fe 1.86-1.87
Fe 0.8296 0.6592 0.1905  4 O 1.87-2.05
O 0.6923 0.8462 0.5146  2 Fe 1.86-1.87
O 0.5135 0.0271 0.2462  2 Fe 1.87
O 0.5135 0.4865 0.2462  2 Fe 1.87
O 0.1538 0.8462 0.5146  2 Fe 1.86-1.87
O 0.0271 0.5135 0.7462  2 Fe 1.87

=====

Going by the computed energies, the most stable comes first: <P>, <Q>.

=====

<P>
Compound: BaFe2S2O
Source: the Materials Project database
Functional: PBE with a Hubbard U
Structure: optimized geometry

Calculated values
As for the space group: No. 4.

Unit cell a=4.1183 b=6.6795 c=9.9701 alpha=89.85 beta=90.00 gamma=90.00
Closest atoms and distances in Å follow each position.
Positions (direct):
Fe 0.9916 0.6343 0.6722  1 O 1.94
S 0.0000 0.2668 0.2917  3 Fe 2.45-2.53
Fe 0.4917 0.3657 0.8279  1 O 1.94
Ba 0.5047 0.0241 0.4988  2 O 2.64-2.68
S 0.0042 0.2675 0.7050  3 Fe 2.44-2.53
Fe 0.4881 0.3701 0.1685  1 O 1.94
S 0.5041 0.7325 0.7950  3 Fe 2.44-2.53
O 0.0114 0.7719 0.5006  2 Fe 1.94
O 0.5117 0.2281 0.9994  2 Fe 1.94
S 0.4998 0.7333 0.2083  3 Fe 2.45-2.54
Fe 0.9879 0.6299 0.3315  1 O 1.94
Ba 0.0048 0.9759 0.0012  2 O 2.64-2.68

=====

<Q>
Compound: BaFe2S2O
Source: the Materials Project database
Functional: PBE with a Hubbard U
Structure: optimized geometry

Calculated values
As for the space group: No. 59.

Unit cell a=4.1125 b=6.6894 c=9.8441 alpha=90.00 beta=90.00 gamma=90.00
Closest atoms and distances in Å follow each position.
Positions (direct):
O 0.0000 0.7765 0.5000  2 Fe 1.93
Ba 0.0000 0.9739 0.0000  2 O 2.65
S 0.5000 0.7320 0.7893  3 Fe 2.41-2.50
S 0.5000 0.7320 0.2107  3 Fe 2.41-2.50
O 0.5000 0.2235 0.0000  2 Fe 1.93
Fe 0.9999 0.6225 0.3345  1 O 1.93
S 0.0000 0.2680 0.2893  3 Fe 2.41-2.50
S 0.0000 0.2680 0.7107  3 Fe 2.41-2.50
Fe 0.5000 0.3775 0.1656  1 O 1.93
Fe 0.0001 0.6225 0.6656  1 O 1.93
Ba 0.5000 0.0261 0.5000  2 O 2.65
Fe 0.5000 0.3775 0.8345  1 O 1.93

=====

Going by the computed energies, the most stable comes first: <Q>, <P>.

=====

<P>
Compound: BaFeSi4O10
Source: the Materials Project database
Functional: PBE with a Hubbard U
Structure: optimized geometry

Calculated values
As for the space group: No. 130.

Unit cell a=7.6301 b=7.6301 c=16.4367 alpha=90.00 beta=90.00 gamma=90.00
Closest atoms and distances in Å follow each position.
Positions (direct):
Si 0.3176 0.7669 0.8449  4 O 1.60-1.65
O 0.2538 0.0304 0.3623  2 Si 1.65
Si 0.7669 0.6824 0.1551  4 O 1.60-1.65
Fe 0.0000 0.5000 0.9057  4 O 2.02
Si 0.8176 0.2669 0.1551  4 O 1.60-1.65
Ba 0.0000 0.0000 0.5000  8 O 2.76-2.99
Ba 0.0000 0.0000 0.0000  8 O 2.76-2.99
O 0.5304 0.7538 0.8623  2 Si 1.65
O 0.3643 0.7720 0.5913  1 Si 1.60
O 0.2720 0.1357 0.5913  1 Si 1.60
O 0.6357 0.7720 0.0913  1 Si 1.60
O 0.5304 0.2462 0.3623  2 Si 1.65
O 0.2280 0.6357 0.9087  1 Si 1.60
O 0.7797 0.2203 0.2500  2 Si 1.63
Fe 0.5000 0.0000 0.0943  4 O 2.02
Si 0.7331 0.8176 0.8449  4 O 1.60-1.65
O 0.9696 0.7462 0.1377  2 Si 1.65
O 0.2280 0.3643 0.4087  1 Si 1.60
O 0.3643 0.2280 0.0913  1 Si 1.60
Si 0.2669 0.8176 0.3449  4 O 1.60-1.65
O 0.7797 0.7797 0.7500  2 Si 1.63
Si 0.2331 0.6824 0.6551  4 O 1.60-1.65
Si 0.3176 0.2331 0.3449  4 O 1.60-1.65
Fe 0.5000 0.0000 0.5943  4 O 2.02
O 0.7462 0.9696 0.3623  2 Si 1.65
O 0.7462 0.0304 0.8623  2 Si 1.65
Si 0.2669 0.1824 0.8449  4 O 1.60-1.65
Ba 0.5000 0.5000 0.0000  8 O 2.76-2.99
O 0.2538 0.9696 0.8623  2 Si 1.65
Si 0.6824 0.7669 0.3449  4 O 1.60-1.65
O 0.0304 0.2538 0.1377  2 Si 1.65
Si 0.7331 0.1824 0.3449  4 O 1.60-1.65
O 0.7538 0.5304 0.6377  2 Si 1.65
O 0.7280 0.8643 0.5913  1 Si 1.60
O 0.2203 0.2203 0.7500  2 Si 1.63
Si 0.2331 0.3176 0.1551  4 O 1.60-1.65
O 0.7720 0.6357 0.4087  1 Si 1.60
O 0.0304 0.7462 0.6377  2 Si 1.65
O 0.7538 0.4696 0.1377  2 Si 1.65
O 0.1357 0.2720 0.9087  1 Si 1.60
Si 0.7669 0.3176 0.6551  4 O 1.60-1.65
O 0.2720 0.8643 0.0913  1 Si 1.60
O 0.7203 0.2797 0.7500  2 Si 1.63
Fe 0.0000 0.5000 0.4057  4 O 2.02
O 0.8643 0.7280 0.9087  1 Si 1.60
O 0.7203 0.7203 0.2500  2 Si 1.63
O 0.6357 0.2280 0.5913  1 Si 1.60
Si 0.8176 0.7331 0.6551  4 O 1.60-1.65
O 0.4696 0.7538 0.3623  2 Si 1.65
Si 0.1824 0.7331 0.1551  4 O 1.60-1.65
O 0.8643 0.2720 0.4087  1 Si 1.60
O 0.9696 0.2538 0.6377  2 Si 1.65
O 0.7280 0.1357 0.0913  1 Si 1.60
O 0.1357 0.7280 0.4087  1 Si 1.60
O 0.2797 0.7203 0.7500  2 Si 1.63
Ba 0.5000 0.5000 0.5000  8 O 2.76-2.99
Si 0.6824 0.2331 0.8449  4 O 1.60-1.65
O 0.2203 0.7797 0.2500  2 Si 1.63
O 0.7720 0.3643 0.9087  1 Si 1.60
O 0.2797 0.2797 0.2500  2 Si 1.63
O 0.2462 0.4696 0.6377  2 Si 1.65
O 0.4696 0.2462 0.8623  2 Si 1.65
Si 0.1824 0.2669 0.6551  4 O 1.60-1.65
O 0.2462 0.5304 0.1377  2 Si 1.65

=====

<Q>
Compound: BaFeSi4O10
Source: the Materials Project database
Functional: PBE with a Hubbard U
Structure: optimized geometry

Unit cell a=10.8879 b=10.8879 c=11.1372 alpha=60.74 beta=119.26 gamma=90.00
Closest atoms and distances in Å follow each position.
Positions (direct):
O 0.6516 0.9139 0.1722  1 Si 1.60
Si 0.4032 0.0545 0.3063  4 O 1.60-1.65
Ba 0.0000 0.7500 0.0000  12 O 2.94-3.14
O 0.5000 0.0000 0.5000  2 Si 1.63
O 0.5096 0.7404 0.2726  2 Si 1.65
O 0.0000 0.5000 0.5000  2 Si 1.63
Si 0.9032 0.5545 0.3063  4 O 1.60-1.65
O 0.2370 0.7596 0.7274  2 Si 1.65
O 0.0000 0.0000 0.5000  2 Si 1.63
Ba 0.5000 0.7500 0.0000  12 O 2.94-3.14
O 0.1639 0.9016 0.8278  1 Si 1.60
Si 0.1108 0.3468 0.3063  4 O 1.60-1.65
Si 0.8892 0.6532 0.6937  4 O 1.60-1.65
O 0.2630 0.9870 0.2726  2 Si 1.65
O 0.7630 0.2404 0.2726  2 Si 1.65
Si 0.5968 0.9455 0.6937  4 O 1.60-1.65
Si 0.9032 0.1392 0.3063  4 O 1.60-1.65
O 0.1516 0.4139 0.1722  1 Si 1.60
O 0.5205 0.4139 0.1722  1 Si 1.60
O 0.8361 0.0984 0.1722  1 Si 1.60
O 0.2500 0.2500 0.5000  2 Si 1.63
O 0.7500 0.7500 0.5000  2 Si 1.63
O 0.2500 0.7500 0.5000  2 Si 1.63
O 0.4795 0.5861 0.8279  1 Si 1.60
Si 0.1955 0.8468 0.3063  4 O 1.60-1.65
O 0.9904 0.7596 0.7274  2 Si 1.65
O 0.6639 0.4016 0.8278  1 Si 1.60
Si 0.6108 0.8468 0.3063  4 O 1.60-1.65
Si 0.3045 0.6532 0.6937  4 O 1.60-1.65
O 0.3361 0.5984 0.1722  1 Si 1.60
Si 0.6955 0.3468 0.3063  4 O 1.60-1.65
O 0.8484 0.5861 0.8278  1 Si 1.60
O 0.9904 0.5130 0.7274  2 Si 1.65
Fe 0.1599 0.0901 0.8197  4 O 2.01
Si 0.0968 0.4455 0.6937  4 O 1.60-1.65
O 0.6639 0.7705 0.8278  1 Si 1.60
O 0.9795 0.0861 0.8279  1 Si 1.60
O 0.7370 0.2596 0.7274  2 Si 1.65
O 0.5096 0.9870 0.2726  2 Si 1.65
Fe 0.3401 0.4099 0.1803  4 O 2.01
O 0.7500 0.2500 0.5000  2 Si 1.63
O 0.4904 0.2596 0.7274  2 Si 1.65
Si 0.5968 0.3608 0.6937  4 O 1.60-1.65
Si 0.3892 0.1532 0.6937  4 O 1.60-1.65
O 0.4904 0.0130 0.7274  2 Si 1.65
Fe 0.6599 0.5901 0.8197  4 O 2.01
Si 0.0968 0.8608 0.6937  4 O 1.60-1.65
O 0.2630 0.7404 0.2726  2 Si 1.65
O 0.7370 0.0130 0.7274  2 Si 1.65
O 0.1639 0.2705 0.8278  1 Si 1.60
O 0.5000 0.5000 0.5000  2 Si 1.63
O 0.0205 0.9139 0.1722  1 Si 1.60
Fe 0.8401 0.9099 0.1803  4 O 2.01
Ba 0.5000 0.2500 0.0000  12 O 2.94-3.14
O 0.3484 0.0861 0.8278  1 Si 1.60
O 0.8361 0.7295 0.1722  1 Si 1.60
O 0.0096 0.4870 0.2726  2 Si 1.65
Ba 0.0000 0.2500 0.0000  12 O 2.94-3.14
Si 0.4032 0.6392 0.3063  4 O 1.60-1.65
O 0.7630 0.4870 0.2726  2 Si 1.65
O 0.0096 0.2404 0.2726  2 Si 1.65
O 0.2370 0.5130 0.7274  2 Si 1.65
O 0.3361 0.2295 0.1722  1 Si 1.60
Si 0.8045 0.1532 0.6937  4 O 1.60-1.65

=====

Going by the computed energies, the most stable comes first: <P>, <Q>.

=====

<P>
Compound: BaSr4Fe5O10
Source: the Materials Project database
Functional: PBE with a Hubbard U
Structure: optimized geometry

Calculated values
As for the space group: No. 123.

Unit cell a=4.0735 b=4.0735 c=17.7871 alpha=90.00 beta=90.00 gamma=90.00
Closest atoms and distances in Å follow each position.
Positions (direct):
O 0.5000 0.0000 0.3036  2 Fe 2.04
O 0.5000 0.0000 0.5000  2 Fe 2.04
Fe 0.0000 0.0000 0.6974  4 O 2.04
O 0.5000 0.0000 0.1095  2 Fe 2.04
O 0.0000 0.5000 0.3036  2 Fe 2.04
O 0.0000 0.5000 0.8905  2 Fe 2.04
Fe 0.0000 0.0000 0.5000  4 O 2.04
Sr 0.5000 0.5000 0.2050  8 O 2.65-2.69
Sr 0.5000 0.5000 0.7950  8 O 2.65-2.69
Sr 0.5000 0.5000 0.4011  8 O 2.68-2.69
O 0.0000 0.5000 0.5000  2 Fe 2.04
O 0.5000 0.0000 0.8905  2 Fe 2.04
O 0.0000 0.5000 0.6964  2 Fe 2.04
O 0.0000 0.5000 0.1095  2 Fe 2.04
Sr 0.5000 0.5000 0.5989  8 O 2.68-2.69
Ba 0.5000 0.5000 0.0000  8 O 2.82
Fe 0.0000 0.0000 0.8902  4 O 2.04
Fe 0.0000 0.0000 0.1098  4 O 2.04
O 0.5000 0.0000 0.6964  2 Fe 2.04
Fe 0.0000 0.0000 0.3026  4 O 2.04

=====

<Q>
Compound: BaSr4Fe5O10
Source: the Materials Project database
Functional: PBE with a Hubbard U
Structure: optimized geometry

Unit cell a=6.7904 b=14.0270 c=6.7908 alpha=82.89 beta=73.71 gamma=102.98
Closest atoms and distances in Å follow each position.
Positions (direct):
O 0.3481 0.7923 0.0557  2 Fe 2.04
Sr 0.3997 0.2041 0.6956  8 O 2.63-2.76
Fe 0.6987 0.5990 0.0997  4 O 2.03-2.04
O 0.6521 0.2078 0.9444  2 Fe 2.04
Fe 0.1005 0.7930 0.3074  4 O 2.03-2.06
O 0.9496 0.5991 0.8505  2 Fe 2.04
Fe 0.8005 0.4009 0.3997  4 O 2.03-2.04
O 0.8998 0.6964 0.2034  2 Fe 2.03-2.04
O 0.8040 0.8901 0.9139  2 Fe 2.06
O 0.8481 0.7923 0.5556  2 Fe 2.04
Ba 0.0000 0.0000 0.5000  8 O 2.72-2.82
O 0.0000 0.4999 0.5002  2 Fe 2.03
Sr 0.1985 0.5979 0.1006  8 O 2.63-2.72
Sr 0.6985 0.5979 0.6006  8 O 2.63-2.72
Sr 0.1004 0.7957 0.8047  8 O 2.64-2.76
Fe 0.9003 0.2070 0.6934  4 O 2.03-2.07
O 0.5503 0.4008 0.6495  2 Fe 2.04
Fe 0.0001 0.0001 0.9999  4 O 2.04-2.06
O 0.1959 0.1100 0.0860  2 Fe 2.06-2.07
O 0.0503 0.4008 0.1496  2 Fe 2.04
Fe 0.4003 0.2070 0.1934  4 O 2.03-2.07
Fe 0.6005 0.7930 0.8074  4 O 2.03-2.06
O 0.6003 0.3037 0.2966  2 Fe 2.03
O 0.7499 0.0000 0.2500  2 Fe 2.04
Sr 0.6004 0.7956 0.3048  8 O 2.64-2.76
O 0.1521 0.2078 0.4444  2 Fe 2.04
O 0.3998 0.6964 0.7034  2 Fe 2.03-2.04
O 0.6959 0.1100 0.5859  2 Fe 2.06-2.07
Sr 0.8997 0.2042 0.1956  8 O 2.63-2.76
Fe 0.5000 0.0001 0.4998  4 O 2.04-2.06
Ba 0.5000 0.0000 0.9999  8 O 2.72-2.82
Fe 0.3005 0.4009 0.8994  4 O 2.03-2.04
O 0.4495 0.5991 0.3505  2 Fe 2.04
Sr 0.8013 0.4023 0.8991  8 O 2.63-2.72
O 0.3040 0.8901 0.4138  2 Fe 2.06
Fe 0.1988 0.5990 0.5999  4 O 2.03-2.04
O 0.1002 0.3036 0.7966  2 Fe 2.03
O 0.5000 0.4999 0.0001  2 Fe 2.03-2.04
O 0.2499 0.0000 0.7500  2 Fe 2.04
Sr 0.3014 0.4023 0.3990  8 O 2.63-2.72

=====

Going by the computed energies, the most stable comes first: <Q>, <P>.

=====

<P>
Compound: BaSrFe4O8
Source: the Materials Project database
Functional: PBE with a Hubbard U
Structure: optimized geometry

Calculated values
As for the space group: No. 187.

Unit cell a=5.9954 b=5.9954 c=10.0375 alpha=90.00 beta=90.00 gamma=120.00
Closest atoms and distances in Å follow each position.
Positions (direct):
O 0.5002 0.4998 0.7506  2 Fe 1.84
Fe 0.6667 0.3333 0.6880  4 O 1.84-1.89
O 0.5002 0.0003 0.2494  2 Fe 1.84
Fe 0.3333 0.6667 0.1879  4 O 1.84-1.89
O 0.3333 0.6667 0.0000  2 Fe 1.89
O 0.9997 0.4998 0.7506  2 Fe 1.84
O 0.5002 0.4998 0.2494  2 Fe 1.84
O 0.6667 0.3333 0.5000  2 Fe 1.89
O 0.9997 0.4998 0.2494  2 Fe 1.84
Fe 0.6667 0.3333 0.3120  4 O 1.84-1.89
Ba 0.0000 0.0000 0.0000  3 O 3.46
Fe 0.3333 0.6667 0.8121  4 O 1.84-1.89
O 0.5002 0.0003 0.7506  2 Fe 1.84
Sr 0.0000 0.0000 0.5000  3 O 3.46

=====

<Q>
Compound: BaSrFe4O8
Source: the Materials Project database
Functional: PBE with a Hubbard U
Structure: optimized geometry

Calculated values
As for the space group: No. 36.

Unit cell a=10.4644 b=10.4644 c=5.4835 alpha=90.00 beta=90.00 gamma=133.25
Closest atoms and distances in Å follow each position.
Positions (direct):
Fe 0.3139 0.2262 0.2647  4 O 1.90-1.91
Fe 0.5046 0.9249 0.7519  4 O 1.87-1.92
Sr 0.1285 0.8715 0.7497  6 O 2.56-2.87
Ba 0.6174 0.3826 0.7802  4 O 2.67-2.97
Fe 0.6861 0.7738 0.7647  4 O 1.90-1.91
O 0.9284 0.6741 0.1085  2 Fe 1.91-1.92
O 0.0755 0.4842 0.0989  2 Fe 1.91-1.92
Fe 0.0751 0.4954 0.7519  4 O 1.87-1.92
O 0.7559 0.8336 0.0973  2 Fe 1.90-1.91
O 0.0716 0.3259 0.6085  2 Fe 1.91-1.92
O 0.9245 0.5158 0.5989  2 Fe 1.91-1.92
Sr 0.8715 0.1285 0.2497  6 O 2.56-2.87
Fe 0.9249 0.5046 0.2519  4 O 1.87-1.92
Fe 0.7738 0.6861 0.2647  4 O 1.90-1.91
O 0.2441 0.1664 0.5973  2 Fe 1.90-1.91
O 0.1664 0.2441 0.0973  2 Fe 1.90-1.91
O 0.5463 0.4537 0.2618  2 Fe 1.91
O 0.6741 0.9284 0.6085  2 Fe 1.91-1.92
Ba 0.3826 0.6174 0.2802  4 O 2.67-2.97
O 0.3259 0.0716 0.1085  2 Fe 1.91-1.92
O 0.4842 0.0755 0.5989  2 Fe 1.91-1.92
Fe 0.2262 0.3139 0.7647  4 O 1.90-1.91
O 0.7164 0.2836 0.1506  2 Fe 1.87
O 0.5158 0.9245 0.0989  2 Fe 1.91-1.92
O 0.2836 0.7164 0.6506  2 Fe 1.87
Fe 0.4954 0.0751 0.2519  4 O 1.87-1.92
O 0.4537 0.5463 0.7618  2 Fe 1.91
O 0.8336 0.7559 0.5973  2 Fe 1.90-1.91

=====

Going by the computed energies, the most stable comes first: <Q>, <P>.